Computed, not measured: an optimized crystal structure of Ti at the PBE-GGA level of DFT.

Lattice parameters (Å, degrees): 12.4114 11.9737 12.0792 97.35 99.09 83.94
Last column: nearest neighbours and their distance in Å.
Sites, in units of the cell vectors:
Ti (0.0102, 0.5773, 0.9135)  5 Ti 2.46-2.74
Ti (0.6629, 0.4721, 0.7020)  10 Ti 2.80-3.06
Ti (0.8492, 0.2455, 0.9913)  5 Ti 2.54-2.82
Ti (0.0238, 0.5022, 0.5144)  7 Ti 2.61-2.91
Ti (0.3508, 0.9566, 0.0489)  3 Ti 2.56-2.86
Ti (0.0484, 0.6353, 0.1401)  8 Ti 2.70-3.02
Ti (0.7231, 0.8629, 0.0603)  7 Ti 2.73-3.05
Ti (0.5852, 0.1273, 0.3637)  7 Ti 2.79-3.03
Ti (0.3653, 0.7067, 0.1172)  7 Ti 2.71-2.93
Ti (0.0970, 0.6957, 0.3971)  4 Ti 2.55-2.78
Ti (0.5176, 0.1556, 0.8696)  10 Ti 2.65-2.94
Ti (0.1220, 0.3584, 0.9489)  9 Ti 2.72-2.93
Ti (0.3165, 0.8145, 0.8720)  6 Ti 2.56-2.84
Ti (0.1219, 0.8295, 0.2571)  5 Ti 2.55-2.73
Ti (0.1995, 0.1408, 0.5726)  6 Ti 2.58-2.87
Ti (0.2271, 0.5564, 0.7302)  8 Ti 2.75-2.96
Ti (0.3363, 0.9007, 0.2704)  9 Ti 2.68-2.96
Ti (0.5688, 0.5222, 0.1407)  6 Ti 2.61-2.87
Ti (0.9110, 0.6123, 0.7146)  3 Ti 2.56-2.87
Ti (0.7964, 0.1870, 0.4461)  10 Ti 2.79-3.02
Ti (0.6714, 0.3426, 0.2835)  7 Ti 2.59-2.88
Ti (0.5366, 0.7469, 0.0184)  7 Ti 2.71-2.92
Ti (0.7496, 0.1417, 0.1961)  6 Ti 2.65-2.96
Ti (0.1543, 0.0348, 0.2132)  8 Ti 2.66-2.91
Ti (0.7380, 0.6818, 0.8548)  5 Ti 2.60-2.86
Ti (0.9868, 0.4081, 0.1088)  7 Ti 2.70-3.00
Ti (0.8540, 0.4483, 0.8736)  2 Ti 2.55-2.77
Ti (0.7450, 0.9780, 0.5549)  4 Ti 2.64-2.87
Ti (0.5955, 0.3811, 0.4739)  6 Ti 2.59-2.88
Ti (0.1550, 0.2395, 0.3540)  10 Ti 2.79-2.99
Ti (0.4886, 0.3891, 0.8496)  5 Ti 2.51-2.74
Ti (0.5716, 0.0357, 0.6769)  9 Ti 2.62-2.88
Ti (0.2900, 0.3538, 0.8169)  3 Ti 2.51-2.75
Ti (0.6028, 0.2913, 0.0449)  8 Ti 2.65-2.94
Ti (0.1079, 0.7430, 0.8374)  8 Ti 2.64-2.93
Ti (0.8294, 0.6268, 0.0586)  10 Ti 2.67-2.99
Ti (0.4664, 0.2778, 0.2098)  3 Ti 2.48-2.74
Ti (0.6829, 0.2885, 0.8276)  7 Ti 2.62-2.87
Ti (0.1545, 0.8345, 0.0541)  3 Ti 2.56-2.77
Ti (0.0985, 0.4662, 0.3213)  7 Ti 2.61-2.86
Ti (0.9652, 0.8934, 0.4724)  9 Ti 2.70-3.02
Ti (0.9338, 0.8701, 0.7059)  8 Ti 2.74-3.04
Ti (0.7177, 0.0576, 0.9628)  8 Ti 2.73-2.87
Ti (0.7911, 0.0869, 0.7581)  7 Ti 2.64-2.85
Ti (0.4545, 0.4955, 0.3119)  8 Ti 2.73-2.92
Ti (0.3567, 0.1124, 0.4463)  7 Ti 2.63-2.93
Ti (0.5097, 0.7173, 0.3221)  9 Ti 2.64-2.92
Ti (0.1851, 0.9468, 0.4477)  6 Ti 2.59-2.83
Ti (0.8889, 0.6949, 0.4970)  7 Ti 2.61-2.89
Ti (0.8438, 0.2883, 0.6858)  9 Ti 2.69-2.99
Ti (0.5040, 0.6066, 0.5229)  10 Ti 2.73-3.01
Ti (0.6382, 0.5274, 0.9347)  7 Ti 2.62-2.92
Ti (0.9676, 0.0867, 0.6150)  8 Ti 2.70-3.00
Ti (0.2688, 0.5508, 0.4822)  9 Ti 2.76-3.01
Ti (0.5526, 0.9027, 0.2212)  10 Ti 2.77-3.06
Ti (0.7720, 0.4137, 0.1246)  6 Ti 2.61-2.74
Ti (0.2071, 0.5723, 0.9845)  3 Ti 2.46-2.71
Ti (0.2380, 0.3494, 0.1794)  9 Ti 2.78-3.08
Ti (0.1519, 0.1876, 0.7750)  4 Ti 2.45-2.72
Ti (0.5578, 0.8193, 0.6176)  7 Ti 2.54-2.83
Ti (0.5466, 0.0703, 0.0816)  8 Ti 2.73-3.04
Ti (0.8999, 0.3544, 0.3382)  5 Ti 2.61-2.82
Ti (0.6852, 0.6986, 0.2010)  10 Ti 2.64-2.92
Ti (0.7670, 0.9669, 0.3210)  9 Ti 2.71-2.95
Ti (0.3324, 0.7629, 0.4353)  7 Ti 2.71-2.89
Ti (0.9805, 0.1807, 0.8503)  5 Ti 2.45-2.75
Ti (0.9279, 0.7935, 0.9770)  8 Ti 2.68-2.97
Ti (0.3832, 0.4419, 0.0532)  6 Ti 2.61-2.92
Ti (0.3384, 0.2157, 0.0013)  10 Ti 2.74-3.06
Ti (0.8872, 0.7735, 0.2541)  7 Ti 2.65-2.91
Ti (0.0836, 0.7152, 0.6145)  8 Ti 2.62-2.89
Ti (0.0519, 0.4072, 0.7281)  10 Ti 2.78-3.02
Ti (0.7329, 0.8784, 0.7828)  7 Ti 2.60-2.87
Ti (0.7190, 0.6693, 0.6147)  3 Ti 2.54-2.79
Ti (0.8195, 0.4435, 0.5390)  9 Ti 2.69-2.95
Ti (0.4130, 0.2198, 0.6634)  9 Ti 2.78-2.95
Ti (0.3658, 0.9604, 0.6188)  9 Ti 2.71-2.92
Ti (0.9945, 0.0818, 0.3689)  9 Ti 2.72-3.04
Ti (0.1306, 0.1617, 0.0414)  7 Ti 2.69-2.93
Ti (0.5300, 0.9086, 0.8653)  11 Ti 2.82-3.14
Ti (0.3169, 0.7346, 0.6511)  8 Ti 2.71-2.97
Ti (0.3285, 0.0404, 0.8309)  9 Ti 2.71-2.96
Ti (0.6990, 0.7917, 0.4176)  8 Ti 2.61-2.92
Ti (0.9743, 0.1958, 0.1845)  9 Ti 2.68-2.96
Ti (0.2538, 0.6069, 0.2520)  8 Ti 2.70-2.98
Ti (0.0076, 0.2775, 0.5208)  10 Ti 2.61-2.92
Ti (0.8757, 0.5597, 0.2823)  8 Ti 2.61-2.88
Ti (0.5087, 0.9400, 0.4475)  9 Ti 2.62-2.90
Ti (0.3938, 0.5989, 0.9053)  8 Ti 2.71-2.78
Ti (0.3621, 0.3371, 0.4067)  9 Ti 2.77-2.98
Ti (0.1542, 0.9346, 0.6680)  7 Ti 2.66-2.97
Ti (0.9217, 0.9618, 0.1641)  9 Ti 2.64-2.95
Ti (0.1422, 0.9764, 0.8873)  7 Ti 2.66-2.85
Ti (0.6337, 0.2146, 0.5998)  6 Ti 2.62-2.92
Ti (0.4260, 0.4538, 0.6376)  9 Ti 2.74-2.98
Ti (0.6788, 0.5570, 0.3789)  11 Ti 2.68-2.98
Ti (0.2232, 0.3644, 0.5792)  11 Ti 2.71-2.98
Ti (0.3596, 0.1179, 0.2252)  4 Ti 2.48-2.78
Ti (0.5188, 0.6620, 0.7602)  8 Ti 2.74-2.98
Ti (0.9468, 0.0117, 0.9632)  6 Ti 2.64-2.93

- formation energy (meV/atom) = 138
- energy relative to the lowest polymorph listed for this composition (meV/atom) = 138
- total energy (eV/atom) = -7.757

Computed, not measured: an optimized crystal structure of Ti at the PBE-GGA level of DFT.

Lattice parameters (Å, degrees): 11.8424 12.3670 11.9795 90.75 89.12 89.41
Last column: nearest neighbours and their distance in Å.
Sites, in units of the cell vectors:
Ti (0.8831, 0.6383, 0.5119)  3 Ti 2.46-2.74
Ti (0.5113, 0.8860, 0.6525)  7 Ti 2.59-2.89
Ti (0.2074, 0.1752, 0.7578)  7 Ti 2.67-2.91
Ti (0.5697, 0.5674, 0.6305)  9 Ti 2.76-3.03
Ti (0.0610, 0.7408, 0.3643)  11 Ti 2.82-3.04
Ti (0.4198, 0.3683, 0.0205)  8 Ti 2.78-2.96
Ti (0.4827, 0.9520, 0.3807)  7 Ti 2.67-2.97
Ti (0.0630, 0.3952, 0.9918)  6 Ti 2.51-2.71
Ti (0.0315, 0.3421, 0.1910)  5 Ti 2.51-2.76
Ti (0.5317, 0.7234, 0.8098)  8 Ti 2.73-3.02
Ti (0.8120, 0.3575, 0.8749)  2 Ti 2.51-2.68
Ti (0.2675, 0.8790, 0.2765)  5 Ti 2.52-2.81
Ti (0.9506, 0.5479, 0.8813)  9 Ti 2.64-2.88
Ti (0.7243, 0.2360, 0.6914)  5 Ti 2.71-2.95
Ti (0.3441, 0.2309, 0.5443)  4 Ti 2.49-2.76
Ti (0.4171, 0.5620, 0.4293)  4 Ti 2.51-2.80
Ti (0.3303, 0.6748, 0.6425)  6 Ti 2.59-2.88
Ti (0.3803, 0.1637, 0.9261)  8 Ti 2.70-3.00
Ti (0.4863, 0.4725, 0.2214)  4 Ti 2.65-2.88
Ti (0.1136, 0.9574, 0.4264)  9 Ti 2.70-2.98
Ti (0.5451, 0.3687, 0.5151)  9 Ti 2.70-3.02
Ti (0.7326, 0.8638, 0.8582)  6 Ti 2.65-2.97
Ti (0.0628, 0.5114, 0.3363)  5 Ti 2.58-2.85
Ti (0.7214, 0.7659, 0.4166)  9 Ti 2.67-2.80
Ti (0.1303, 0.1447, 0.5516)  9 Ti 2.65-2.90
Ti (0.9311, 0.2647, 0.5969)  8 Ti 2.69-2.95
Ti (0.6079, 0.2237, 0.8943)  7 Ti 2.63-2.89
Ti (0.0086, 0.9192, 0.2282)  7 Ti 2.57-2.83
Ti (0.9351, 0.0960, 0.4471)  8 Ti 2.64-2.84
Ti (0.9840, 0.4755, 0.5751)  3 Ti 2.46-2.70
Ti (0.4760, 0.7145, 0.2540)  5 Ti 2.61-2.86
Ti (0.7678, 0.4139, 0.5036)  8 Ti 2.63-2.91
Ti (0.0291, 0.3577, 0.7749)  8 Ti 2.62-2.87
Ti (0.3637, 0.4647, 0.6332)  7 Ti 2.62-2.82
Ti (0.6166, 0.0880, 0.2711)  8 Ti 2.65-2.94
Ti (0.2750, 0.2637, 0.1867)  5 Ti 2.56-2.84
Ti (0.1269, 0.8364, 0.0669)  6 Ti 2.57-2.85
Ti (0.3129, 0.9873, 0.5386)  7 Ti 2.66-2.90
Ti (0.1251, 0.2912, 0.3884)  6 Ti 2.53-2.78
Ti (0.6119, 0.7886, 0.0280)  8 Ti 2.65-2.96
Ti (0.6379, 0.5664, 0.4058)  7 Ti 2.63-2.88
Ti (0.8566, 0.2664, 0.0550)  2 Ti 2.51-2.53
Ti (0.7907, 0.4987, 0.7090)  6 Ti 2.68-2.92
Ti (0.9851, 0.1424, 0.7990)  4 Ti 2.50-2.74
Ti (0.4630, 0.9374, 0.9020)  10 Ti 2.75-3.05
Ti (0.8124, 0.9114, 0.0853)  8 Ti 2.67-2.95
Ti (0.9060, 0.3049, 0.3684)  7 Ti 2.61-2.81
Ti (0.1303, 0.7534, 0.8490)  9 Ti 2.68-2.95
Ti (0.8656, 0.7388, 0.2326)  8 Ti 2.73-2.97
Ti (0.9191, 0.7102, 0.7444)  7 Ti 2.64-2.95
Ti (0.2106, 0.9868, 0.9007)  5 Ti 2.66-2.93
Ti (0.1068, 0.9630, 0.6636)  5 Ti 2.65-2.86
Ti (0.2196, 0.0300, 0.1190)  8 Ti 2.67-2.95
Ti (0.7992, 0.1000, 0.8900)  4 Ti 2.50-2.79
Ti (0.1581, 0.2036, 0.9901)  6 Ti 2.61-2.85
Ti (0.2775, 0.7765, 0.4567)  6 Ti 2.52-2.81
Ti (0.1697, 0.3626, 0.6039)  8 Ti 2.62-2.93
Ti (0.7110, 0.3552, 0.2653)  3 Ti 2.56-2.74
Ti (0.1886, 0.5738, 0.4981)  6 Ti 2.58-2.87
Ti (0.7158, 0.7561, 0.6461)  9 Ti 2.75-3.07
Ti (0.2656, 0.3734, 0.8482)  11 Ti 2.77-3.08
Ti (0.0967, 0.7434, 0.6059)  9 Ti 2.66-2.95
Ti (0.1826, 0.5785, 0.9680)  7 Ti 2.64-2.84
Ti (0.9957, 0.0457, 0.0352)  11 Ti 2.81-3.09
Ti (0.0622, 0.1299, 0.2536)  7 Ti 2.67-2.93
Ti (0.5694, 0.4476, 0.8399)  6 Ti 2.68-2.96
Ti (0.6375, 0.8628, 0.2361)  8 Ti 2.67-2.82
Ti (0.4705, 0.5911, 0.0396)  5 Ti 2.65-2.89
Ti (0.6828, 0.9676, 0.5191)  7 Ti 2.67-2.92
Ti (0.6742, 0.6253, 0.1801)  8 Ti 2.69-2.99
Ti (0.5056, 0.7481, 0.4884)  7 Ti 2.59-2.88
Ti (0.2662, 0.6535, 0.2474)  4 Ti 2.61-2.81
Ti (0.7307, 0.6276, 0.8981)  9 Ti 2.78-3.06
Ti (0.9102, 0.8520, 0.5216)  7 Ti 2.67-2.97
Ti (0.2395, 0.4648, 0.1520)  3 Ti 2.56-2.72
Ti (0.7291, 0.1874, 0.4494)  6 Ti 2.63-2.91
Ti (0.4317, 0.9028, 0.1275)  8 Ti 2.64-2.95
Ti (0.3122, 0.8565, 0.7513)  6 Ti 2.59-2.89
Ti (0.4866, 0.2622, 0.3212)  9 Ti 2.69-3.00
Ti (0.6081, 0.2501, 0.1122)  6 Ti 2.56-2.87
Ti (0.3672, 0.5736, 0.8412)  9 Ti 2.64-2.95
Ti (0.4340, 0.1168, 0.1398)  9 Ti 2.65-2.88
Ti (0.3274, 0.7588, 0.9876)  7 Ti 2.71-2.93
Ti (0.4047, 0.0700, 0.7220)  9 Ti 2.66-2.89
Ti (0.8871, 0.5010, 0.0920)  7 Ti 2.66-2.96
Ti (0.9687, 0.9186, 0.8343)  8 Ti 2.67-2.89
Ti (0.1447, 0.5558, 0.7351)  12 Ti 2.79-3.05
Ti (0.6304, 0.0406, 0.7579)  8 Ti 2.67-2.92
Ti (0.8139, 0.9537, 0.3360)  7 Ti 2.64-2.82
Ti (0.8270, 0.1346, 0.2122)  3 Ti 2.53-2.71
Ti (0.8406, 0.5331, 0.3083)  8 Ti 2.66-2.91
Ti (0.3066, 0.3967, 0.3787)  3 Ti 2.51-2.76
Ti (0.9233, 0.7478, 0.9825)  8 Ti 2.68-2.92
Ti (0.6298, 0.0272, 0.0335)  8 Ti 2.67-2.98
Ti (0.4704, 0.2870, 0.7261)  7 Ti 2.68-2.99
Ti (0.5310, 0.1364, 0.5337)  3 Ti 2.49-2.74
Ti (0.6676, 0.4513, 0.0432)  9 Ti 2.69-3.01
Ti (0.0594, 0.6356, 0.1461)  8 Ti 2.65-2.91
Ti (0.8572, 0.0243, 0.6588)  7 Ti 2.70-2.98
Ti (0.3084, 0.1086, 0.3405)  8 Ti 2.71-3.02

- formation energy (meV/atom) = 155
- energy relative to the lowest polymorph listed for this composition (meV/atom) = 155
- total energy (eV/atom) = -7.740

Computed, not measured: an optimized crystal structure of Ti at the PBE-GGA level of DFT.

Lattice parameters (Å, degrees): 2.8159 2.8159 2.8159 109.47 109.47 109.47
Last column: nearest neighbours and their distance in Å.
Sites, in units of the cell vectors:
Ti (0.0000, 0.0000, 0.0000)  8 Ti 2.82

- formation energy (meV/atom) = 112
- energy relative to the lowest polymorph listed for this composition (meV/atom) = 112
- total energy (eV/atom) = -7.783

Computed, not measured: an optimized crystal structure of Ti at the PBE-GGA level of DFT.

Lattice parameters (Å, degrees): 11.9046 12.4371 11.9104 86.36 90.82 88.07
Last column: nearest neighbours and their distance in Å.
Sites, in units of the cell vectors:
Ti (0.2340, 0.4409, 0.0171)  9 Ti 2.67-2.90
Ti (0.5191, 0.3176, 0.7280)  3 Ti 2.45-2.72
Ti (0.4944, 0.1345, 0.1362)  9 Ti 2.64-2.94
Ti (0.5630, 0.4215, 0.5234)  5 Ti 2.60-2.88
Ti (0.8729, 0.7362, 0.5825)  9 Ti 2.69-3.00
Ti (0.1530, 0.3414, 0.6316)  7 Ti 2.64-2.95
Ti (0.6593, 0.1249, 0.4084)  8 Ti 2.72-3.05
Ti (0.3260, 0.1765, 0.9849)  6 Ti 2.69-3.01
Ti (0.3503, 0.4178, 0.5682)  6 Ti 2.60-2.90
Ti (0.7741, 0.4429, 0.9519)  7 Ti 2.63-2.91
Ti (0.5913, 0.9289, 0.2308)  10 Ti 2.78-3.01
Ti (0.3366, 0.0069, 0.5295)  7 Ti 2.63-2.88
Ti (0.8937, 0.1167, 0.0886)  6 Ti 2.54-2.79
Ti (0.9233, 0.7072, 0.9654)  4 Ti 2.52-2.81
Ti (0.5191, 0.7466, 0.8034)  3 Ti 2.50-2.76
Ti (0.5624, 0.9049, 0.4619)  5 Ti 2.51-2.81
Ti (0.3115, 0.1671, 0.7168)  9 Ti 2.82-3.16
Ti (0.0125, 0.6764, 0.1748)  7 Ti 2.69-3.00
Ti (0.1761, 0.5200, 0.2124)  8 Ti 2.63-2.86
Ti (0.4523, 0.7618, 0.0124)  5 Ti 2.57-2.77
Ti (0.0040, 0.5070, 0.9875)  8 Ti 2.63-2.91
Ti (0.1541, 0.2907, 0.8593)  7 Ti 2.60-2.90
Ti (0.1654, 0.5174, 0.8093)  8 Ti 2.70-2.88
Ti (0.2881, 0.7696, 0.8143)  5 Ti 2.66-2.96
Ti (0.2613, 0.1262, 0.2403)  6 Ti 2.59-2.88
Ti (0.6585, 0.9446, 0.6432)  4 Ti 2.51-2.72
Ti (0.8447, 0.5943, 0.7752)  8 Ti 2.64-2.95
Ti (0.3647, 0.9392, 0.1401)  2 Ti 2.44-2.70
Ti (0.3938, 0.5776, 0.9162)  10 Ti 2.73-3.05
Ti (0.0501, 0.7123, 0.7586)  10 Ti 2.77-3.08
Ti (0.7557, 0.4140, 0.1781)  6 Ti 2.53-2.75
Ti (0.5357, 0.1313, 0.8337)  3 Ti 2.57-2.75
Ti (0.2439, 0.6127, 0.6162)  4 Ti 2.53-2.79
Ti (0.1515, 0.4876, 0.4367)  9 Ti 2.66-2.96
Ti (0.0409, 0.1164, 0.2919)  10 Ti 2.68-3.00
Ti (0.1072, 0.0277, 0.0891)  6 Ti 2.58-2.87
Ti (0.5682, 0.3228, 0.3010)  9 Ti 2.70-3.01
Ti (0.3459, 0.6406, 0.1545)  5 Ti 2.57-2.82
Ti (0.7389, 0.3692, 0.7150)  8 Ti 2.70-2.94
Ti (0.9621, 0.4026, 0.7807)  8 Ti 2.63-2.90
Ti (0.1259, 0.2558, 0.1043)  8 Ti 2.64-2.95
Ti (0.0866, 0.1262, 0.6607)  4 Ti 2.50-2.69
Ti (0.5585, 0.7101, 0.2179)  7 Ti 2.63-2.85
Ti (0.7426, 0.2262, 0.8969)  10 Ti 2.71-3.01
Ti (0.8626, 0.2540, 0.2963)  7 Ti 2.64-2.94
Ti (0.7715, 0.5362, 0.5641)  9 Ti 2.69-2.96
Ti (0.6934, 0.2212, 0.1445)  7 Ti 2.59-2.88
Ti (0.1891, 0.9296, 0.6862)  8 Ti 2.66-2.97
Ti (0.3494, 0.3742, 0.8259)  2 Ti 2.45-2.60
Ti (0.5380, 0.3181, 0.9769)  10 Ti 2.85-3.12
Ti (0.3761, 0.2660, 0.4078)  8 Ti 2.72-2.93
Ti (0.4012, 0.8306, 0.3418)  7 Ti 2.61-2.90
Ti (0.3880, 0.4767, 0.3249)  8 Ti 2.75-2.99
Ti (0.7516, 0.3193, 0.4775)  5 Ti 2.62-2.87
Ti (0.8826, 0.1209, 0.4918)  8 Ti 2.60-2.88
Ti (0.6943, 0.8170, 0.0549)  4 Ti 2.53-2.81
Ti (0.1674, 0.8273, 0.1305)  5 Ti 2.58-2.86
Ti (0.1828, 0.1677, 0.4780)  4 Ti 2.51-2.76
Ti (0.9112, 0.8939, 0.0860)  8 Ti 2.64-2.91
Ti (0.0449, 0.1123, 0.8825)  7 Ti 2.61-2.83
Ti (0.9117, 0.9691, 0.6790)  5 Ti 2.64-2.90
Ti (0.6022, 0.5143, 0.8217)  3 Ti 2.39-2.64
Ti (0.1479, 0.7845, 0.5324)  5 Ti 2.53-2.79
Ti (0.0105, 0.5473, 0.6018)  9 Ti 2.73-3.02
Ti (0.5096, 0.1551, 0.5752)  6 Ti 2.69-2.92
Ti (0.7977, 0.9176, 0.4672)  8 Ti 2.69-2.99
Ti (0.4717, 0.9760, 0.9695)  4 Ti 2.44-2.70
Ti (0.8028, 0.0273, 0.2647)  4 Ti 2.58-2.87
Ti (0.8030, 0.7921, 0.2720)  6 Ti 2.59-2.88
Ti (0.6776, 0.7064, 0.4266)  7 Ti 2.59-2.86
Ti (0.6886, 0.0420, 0.0389)  9 Ti 2.63-2.89
Ti (0.9371, 0.2963, 0.9882)  6 Ti 2.54-2.76
Ti (0.8114, 0.8013, 0.8051)  4 Ti 2.52-2.80
Ti (0.4556, 0.5584, 0.6860)  2 Ti 2.39-2.65
Ti (0.0019, 0.8840, 0.2903)  6 Ti 2.60-2.86
Ti (0.2037, 0.9311, 0.3509)  6 Ti 2.60-2.86
Ti (0.9827, 0.4177, 0.1957)  7 Ti 2.67-2.87
Ti (0.4459, 0.0636, 0.3456)  7 Ti 2.59-2.80
Ti (0.0546, 0.8889, 0.8922)  6 Ti 2.65-2.92
Ti (0.2481, 0.9867, 0.9028)  6 Ti 2.65-2.86
Ti (0.7190, 0.1472, 0.6650)  3 Ti 2.47-2.69
Ti (0.8625, 0.5075, 0.3622)  8 Ti 2.69-2.99
Ti (0.3708, 0.3206, 0.1652)  8 Ti 2.72-3.02
Ti (0.2311, 0.6892, 0.3516)  7 Ti 2.71-3.01
Ti (0.4274, 0.9506, 0.7336)  11 Ti 2.69-3.00
Ti (0.7916, 0.6132, 0.1564)  5 Ti 2.53-2.81
Ti (0.8455, 0.0196, 0.8801)  9 Ti 2.64-2.95
Ti (0.5430, 0.5034, 0.1059)  8 Ti 2.81-3.13
Ti (0.0389, 0.9701, 0.4953)  6 Ti 2.60-2.88
Ti (0.9784, 0.3293, 0.4948)  5 Ti 2.64-2.94
Ti (0.3885, 0.7918, 0.5859)  7 Ti 2.66-2.93
Ti (0.6786, 0.6446, 0.9548)  5 Ti 2.52-2.81
Ti (0.4571, 0.6296, 0.4659)  7 Ti 2.66-2.97
Ti (0.1642, 0.3154, 0.3148)  7 Ti 2.59-2.79
Ti (0.6506, 0.7095, 0.6479)  3 Ti 2.50-2.79
Ti (0.1685, 0.6617, 0.9853)  10 Ti 2.77-3.05
Ti (0.0000, 0.6750, 0.4003)  8 Ti 2.69-2.91
Ti (0.9050, 0.2154, 0.7117)  4 Ti 2.47-2.71
Ti (0.6283, 0.5277, 0.3238)  7 Ti 2.63-2.82
Ti (0.6407, 0.9303, 0.8530)  7 Ti 2.51-2.76

- formation energy (meV/atom) = 170
- energy relative to the lowest polymorph listed for this composition (meV/atom) = 170
- total energy (eV/atom) = -7.726